Below is a relaxed PbI2 crystal, with properties calculated at the GGA-PBE level.

Results
Crystal system: trigonal
Energy of formation, eV per atom: -0.92
Electronic total energy, eV for the cell shown: -8.763
Total energy after the MP2020 corrections, eV for the cell shown: -9.521

The structure in CIF format:
```
data_PbI2
_symmetry_space_group_name_H-M 'P -3 m 1'
_symmetry_Int_Tables_number 164
_symmetry_space_group_name_Hall '-P 3 2"'
_cell_length_a 4.6894
_cell_length_b 4.6894
_cell_length_c 7.5032
_cell_angle_alpha 90.00
_cell_angle_beta 90.00
_cell_angle_gamma 120.00
loop_
_atom_site_label
_atom_site_fract_x
_atom_site_fract_y
_atom_site_fract_z
Pb1 0.0000 0.0000 0.0000
I1 0.3333 0.6667 0.7530
```